AlHg2O2F5 | GGA-PBE | relaxed

As for the magnetization: 4.01 Bohr magnetons per cell. As for the space-group type: I4cm. Its crystal system is tetragonal. The energy above the most stable polymorph in this dataset is 0.00 eV per formula unit. The total energy is -3.946 eV per atom.

a b c (Å): 7.040 7.040 7.040
angles (deg): 112.68 112.68 103.23
Positions (direct):
Al  0.000  0.000  0.000
Al  0.500  0.500  0.000
Hg  0.101  0.601  0.164
Hg  0.437  0.937  0.836
Hg  0.601  0.437  0.500
Hg  0.937  0.101  0.500
O  0.145  0.909  0.500
O  0.409  0.645  0.500
O  0.645  0.145  0.237
O  0.909  0.409  0.763
F  0.026  0.802  0.772
F  0.030  0.254  0.228
F  0.254  0.026  0.224
F  0.294  0.294  0.000
F  0.302  0.526  0.772
F  0.526  0.754  0.224
F  0.530  0.302  0.776
F  0.754  0.530  0.228
F  0.794  0.794  0.000
F  0.802  0.030  0.776

Na2AlInF6 | GGA-PBE | relaxed

As for the magnetization: 0.00 Bohr magnetons per cell. As for the space-group type: Fm-3m. Its crystal system is cubic. The total energy is -4.759 eV per atom.

a b c (Å): 6.167 6.167 6.167
angles (deg): 60.00 60.00 60.00
Positions (direct):
Na  0.250  0.250  0.250
Na  0.750  0.750  0.750
Al  0.000  0.000  0.000
In  0.500  0.500  0.500
F  0.210  0.210  0.790
F  0.210  0.790  0.210
F  0.210  0.790  0.790
F  0.790  0.210  0.210
F  0.790  0.210  0.790
F  0.790  0.790  0.210

Rb2AlInF6 | GGA-PBE | relaxed

As for the magnetization: 0.00 Bohr magnetons per cell. As for the space-group type: Fm-3m. Its crystal system is cubic. The total energy is -4.872 eV per atom.

a b c (Å): 6.358 6.358 6.358
angles (deg): 60.00 60.00 60.00
Positions (direct):
Rb  0.250  0.250  0.250
Rb  0.750  0.750  0.750
Al  0.000  0.000  0.000
In  0.500  0.500  0.500
F  0.205  0.205  0.795
F  0.205  0.795  0.205
F  0.205  0.795  0.795
F  0.795  0.205  0.205
F  0.795  0.205  0.795
F  0.795  0.795  0.205

Number 1: calculated formation energy -1.93 eV/atom. Number 2: calculated formation energy -2.97 eV/atom. Number 3: calculated formation energy -3.16 eV/atom.